The following is a GGA-PBE calculation of crystalline Mn at its relaxed geometry, from the Materials Project database.

Output
The calculation puts the energy of formation from the pure elements at 0.00 eV/atom. Its total energy is -9.16 eV/atom. As for the space group: I-43m, No. 217. The offset from the most stable computed form comes out at 0 meV/atom.

Cell and atoms, written as POSCAR:
```
Mn
1.0
-4.3092 4.3092 4.3092
4.3092 -4.3092 4.3092
4.3092 4.3092 -4.3092
Mn
29
Cartesian
0.0000 0.0000 0.0000 Mn
1.5618 1.5618 -1.5618 Mn
4.0036 1.2393 -1.2393 Mn
1.5618 -1.5618 1.5618 Mn
4.0036 -1.2393 1.2393 Mn
6.1834 0.7676 -0.7676 Mn
6.1834 -0.7676 0.7676 Mn
2.4351 0.7676 0.7676 Mn
3.5417 3.5417 -1.8741 Mn
3.5417 -1.8741 3.5417 Mn
4.6149 1.2393 1.2393 Mn
1.2393 4.0036 -1.2393 Mn
1.2393 -1.2393 4.0036 Mn
-1.5618 1.5618 1.5618 Mn
0.7676 2.4351 0.7676 Mn
0.7676 0.7676 2.4351 Mn
3.0699 3.0699 0.3057 Mn
3.0699 0.3057 3.0699 Mn
-1.2393 4.0036 1.2393 Mn
-1.2393 1.2393 4.0036 Mn
5.0768 1.8741 3.5417 Mn
5.0768 3.5417 1.8741 Mn
2.7475 2.7475 2.7475 Mn
1.2393 4.6149 1.2393 Mn
1.2393 1.2393 4.6149 Mn
0.3057 3.0699 3.0699 Mn
-0.7676 6.1834 0.7676 Mn
-0.7676 0.7676 6.1834 Mn
-1.8741 3.5417 3.5417 Mn
```